# 1
Density functional theory data (PBE) for K2Na2Nd2MgNb2O10 after structural relaxation.

Unit cell a=5.9521 b=5.9536 c=8.7230 alpha=89.90 beta=89.67 gamma=86.70
Fractional positions:
1 K 0.0000 0.0000 0.0000
2 K 0.3855 0.3884 0.9935
3 Na 0.4629 0.9304 0.3052
4 Na 0.9953 0.3915 0.7616
5 Nd 0.5358 0.4126 0.5262
6 Nd 0.9777 0.8548 0.5267
7 Mg 0.7415 0.6395 0.1334
8 Nb 0.0422 0.3504 0.3293
9 Nb 0.5018 0.8857 0.7805
10 O 0.2394 0.1516 0.4532
11 O 0.2393 0.6014 0.3677
12 O 0.2686 0.1152 0.7902
13 O 0.2874 0.6744 0.6981
14 O 0.5567 0.8299 0.9980
15 O 0.7118 0.1023 0.6981
16 O 0.7353 0.6536 0.6875
17 O 0.7515 0.6401 0.3509
18 O 0.7908 0.1519 0.3678
19 O 0.9702 0.4189 0.0902

## Properties
The total energy comes out at -6.836 eV/atom. For the magnetic moment, the calculation gives 0.00 μB per formula unit. The energy above the lowest structure with this stoichiometry is 0.0 meV/atom.

# 2
Density functional theory data (PBE) for PdCl2 after structural relaxation.

Unit cell a=6.2586 b=9.4733 c=10.7163 alpha=80.77 beta=85.43 gamma=78.45
Fractional positions:
1 Pd 0.0622 0.3212 0.1971
2 Pd 0.1662 0.3709 0.7097
3 Pd 0.4065 0.1433 0.9894
4 Pd 0.5935 0.8567 0.0106
5 Pd 0.8338 0.6291 0.2903
6 Pd 0.9378 0.6788 0.8029
7 Cl 0.0095 0.2317 0.0144
8 Cl 0.1063 0.0133 0.5598
9 Cl 0.1264 0.4416 0.3605
10 Cl 0.2952 0.5539 0.7896
11 Cl 0.4018 0.1672 0.2037
12 Cl 0.4465 0.1811 0.7711
13 Cl 0.5535 0.8189 0.2289
14 Cl 0.5982 0.8328 0.7963
15 Cl 0.7048 0.4461 0.2104
16 Cl 0.8736 0.5584 0.6395
17 Cl 0.8937 0.9867 0.4402
18 Cl 0.9905 0.7683 0.9856

## Properties
The total energy comes out at -3.157 eV/atom. For the magnetic moment, the calculation gives 0.00 μB per formula unit.

# 3
Density functional theory data (PBE) for K2RbMoBr6 after structural relaxation.

Unit cell a=8.2438 b=8.2438 c=8.2438 alpha=60.00 beta=60.00 gamma=60.00
Fractional positions:
1 K 0.2500 0.2500 0.2500
2 K 0.7500 0.7500 0.7500
3 Rb 0.0000 0.0000 0.0000
4 Mo 0.5000 0.5000 0.5000
5 Br 0.2766 0.2766 0.7234
6 Br 0.2766 0.7234 0.2766
7 Br 0.2766 0.7234 0.7234
8 Br 0.7234 0.2766 0.2766
9 Br 0.7234 0.2766 0.7234
10 Br 0.7234 0.7234 0.2766

## Properties
The total energy comes out at -3.585 eV/atom. For the magnetic moment, the calculation gives 3.00 μB per formula unit.

# 4
Density functional theory data (PBE) for SrCaEuBiO6 after structural relaxation.

Unit cell a=6.1141 b=6.1141 c=6.1141 alpha=60.00 beta=60.00 gamma=60.00
Fractional positions:
1 Sr 0.0000 0.0000 0.0000
2 Ca 0.5000 0.5000 0.5000
3 Eu 0.2500 0.2500 0.2500
4 Bi 0.7500 0.7500 0.7500
5 O 0.5072 0.5072 0.9928
6 O 0.5072 0.9928 0.5072
7 O 0.5072 0.9928 0.9928
8 O 0.9928 0.5072 0.5072
9 O 0.9928 0.5072 0.9928
10 O 0.9928 0.9928 0.5072

## Properties
The total energy comes out at -6.773 eV/atom. For the magnetic moment, the calculation gives 6.00 μB per formula unit. The energy above the lowest structure with this stoichiometry is 116.6 meV/atom.

# 5
Density functional theory data (PBE) for TlSbCl6 after structural relaxation.

Unit cell a=6.9401 b=6.9401 c=12.4219 alpha=100.54 beta=100.54 gamma=56.50
Fractional positions:
1 Tl 0.1116 0.8884 0.7500
2 Tl 0.8884 0.1116 0.2500
3 Sb 0.0000 0.5000 0.0000
4 Sb 0.5000 0.0000 0.5000
5 Cl 0.1011 0.1993 0.5395
6 Cl 0.1993 0.1011 0.0395
7 Cl 0.2017 0.3712 0.8370
8 Cl 0.3025 0.5444 0.1090
9 Cl 0.3712 0.2017 0.3370
10 Cl 0.4556 0.6975 0.3910
11 Cl 0.5444 0.3025 0.6090
12 Cl 0.6288 0.7983 0.6630
13 Cl 0.6975 0.4556 0.8910
14 Cl 0.7983 0.6288 0.1630
15 Cl 0.8007 0.8989 0.9605
16 Cl 0.8989 0.8007 0.4605

## Properties
The total energy comes out at -2.990 eV/atom.

# 6
Density functional theory data (PBE) for Rb2NdCuCl6 after structural relaxation.

Unit cell a=7.4861 b=7.4861 c=7.4861 alpha=60.00 beta=60.00 gamma=60.00
Fractional positions:
1 Rb 0.2500 0.2500 0.2500
2 Rb 0.7500 0.7500 0.7500
3 Nd 0.0000 0.0000 0.0000
4 Cu 0.5000 0.5000 0.5000
5 Cl 0.2580 0.2580 0.7420
6 Cl 0.2580 0.7420 0.2580
7 Cl 0.2580 0.7420 0.7420
8 Cl 0.7420 0.2580 0.2580
9 Cl 0.7420 0.2580 0.7420
10 Cl 0.7420 0.7420 0.2580

## Properties
The total energy comes out at -3.938 eV/atom. For the magnetic moment, the calculation gives 0.00 μB per formula unit.

# 7
Density functional theory data (PBE) for CaInI3 after structural relaxation.

Unit cell a=7.9115 b=7.9115 c=11.7255 alpha=90.00 beta=90.00 gamma=146.06
Fractional positions:
1 Ca 0.0000 0.0000 0.0000
2 Ca 0.0000 0.0000 0.5000
3 In 0.2483 0.7517 0.7500
4 In 0.7517 0.2483 0.2500
5 I 0.0800 0.9200 0.2500
6 I 0.3628 0.6372 0.0554
7 I 0.3628 0.6372 0.4446
8 I 0.6372 0.3628 0.5554
9 I 0.6372 0.3628 0.9446
10 I 0.9200 0.0800 0.7500

## Properties
The total energy comes out at -3.016 eV/atom. For the magnetic moment, the calculation gives 0.00 μB per formula unit.

# 8
Density functional theory data (PBE) for Hg6S4IBr2Cl after structural relaxation.

Unit cell a=13.3347 b=9.7019 c=13.2438 alpha=90.00 beta=90.00 gamma=90.00
Fractional positions:
1 Hg 0.0236 0.2500 0.1997
2 Hg 0.1173 0.0145 0.6535
3 Hg 0.1173 0.4855 0.6535
4 Hg 0.1543 0.5073 0.3802
5 Hg 0.1543 0.9927 0.3802
6 Hg 0.1919 0.7500 0.0277
7 Hg 0.3081 0.2500 0.5277
8 Hg 0.3457 0.0073 0.8802
9 Hg 0.3457 0.4927 0.8802
10 Hg 0.3827 0.5145 0.1535
11 Hg 0.3827 0.9855 0.1535
12 Hg 0.4764 0.7500 0.6997
13 Hg 0.5236 0.2500 0.3003
14 Hg 0.6173 0.0145 0.8465
15 Hg 0.6173 0.4855 0.8465
16 Hg 0.6543 0.5073 0.1198
17 Hg 0.6543 0.9927 0.1198
18 Hg 0.6919 0.7500 0.4723
19 Hg 0.8081 0.2500 0.9723
20 Hg 0.8457 0.0073 0.6198
21 Hg 0.8457 0.4927 0.6198
22 Hg 0.8827 0.5145 0.3465
23 Hg 0.8827 0.9855 0.3465
24 Hg 0.9764 0.7500 0.8003
25 S 0.0332 0.0011 0.2410
26 S 0.0332 0.4989 0.2410
27 S 0.2435 0.5027 0.0334
28 S 0.2435 0.9973 0.0334
29 S 0.2565 0.0027 0.5334
30 S 0.2565 0.4973 0.5334
31 S 0.4668 0.5011 0.7410
32 S 0.4668 0.9989 0.7410
33 S 0.5332 0.0011 0.2590
34 S 0.5332 0.4989 0.2590
35 S 0.7435 0.5027 0.4666
36 S 0.7435 0.9973 0.4666
37 S 0.7565 0.0027 0.9666
38 S 0.7565 0.4973 0.9666
39 S 0.9668 0.5011 0.7590
40 S 0.9668 0.9989 0.7590
41 I 0.0083 0.7500 0.4926
42 I 0.4917 0.2500 0.9926
43 I 0.5083 0.7500 0.0074
44 I 0.9917 0.2500 0.5074
45 Br 0.2157 0.7500 0.7822
46 Br 0.2299 0.2500 0.7712
47 Br 0.2701 0.7500 0.2712
48 Br 0.2843 0.2500 0.2822
49 Br 0.7157 0.7500 0.7178
50 Br 0.7299 0.2500 0.7288
51 Br 0.7701 0.7500 0.2288
52 Br 0.7843 0.2500 0.2178
53 Cl 0.0028 0.2500 0.9988
54 Cl 0.4972 0.7500 0.4988
55 Cl 0.5028 0.2500 0.5012
56 Cl 0.9972 0.7500 0.0012

## Properties
The total energy comes out at -2.083 eV/atom. For the magnetic moment, the calculation gives 0.00 μB per formula unit.

# 9
Density functional theory data (PBE) for Pr3Si6Pd20 after structural relaxation.

Unit cell a=8.7958 b=8.7958 c=8.7958 alpha=60.00 beta=60.00 gamma=60.00
Fractional positions:
1 Pr 0.0000 0.0000 0.0000
2 Pr 0.2500 0.2500 0.2500
3 Pr 0.7500 0.7500 0.7500
4 Si 0.2671 0.2671 0.7329
5 Si 0.2671 0.7329 0.2671
6 Si 0.2671 0.7329 0.7329
7 Si 0.7329 0.2671 0.2671
8 Si 0.7329 0.2671 0.7329
9 Si 0.7329 0.7329 0.2671
10 Pd 0.0000 0.0000 0.3471
11 Pd 0.0000 0.0000 0.6529
12 Pd 0.0000 0.3471 0.0000
13 Pd 0.0000 0.3471 0.6529
14 Pd 0.0000 0.6529 0.0000
15 Pd 0.0000 0.6529 0.3471
16 Pd 0.1564 0.6145 0.6145
17 Pd 0.3471 0.0000 0.0000
18 Pd 0.3471 0.0000 0.6529
19 Pd 0.3471 0.6529 0.0000
20 Pd 0.3855 0.3855 0.3855
21 Pd 0.3855 0.3855 0.8436
22 Pd 0.3855 0.8436 0.3855
23 Pd 0.6145 0.1564 0.6145
24 Pd 0.6145 0.6145 0.1564
25 Pd 0.6145 0.6145 0.6145
26 Pd 0.6529 0.0000 0.0000
27 Pd 0.6529 0.0000 0.3471
28 Pd 0.6529 0.3471 0.0000
29 Pd 0.8436 0.3855 0.3855

## Properties
The total energy comes out at -5.984 eV/atom.

# 10
Density functional theory data (PBE) for Na2Li18Ge17 after structural relaxation.

Unit cell a=17.2883 b=17.2883 c=8.1574 alpha=90.00 beta=90.00 gamma=120.00
Fractional positions:
1 Na 0.0000 0.0000 0.0000
2 Na 0.0000 0.6539 0.1651
3 Na 0.3333 0.6667 0.2132
4 Na 0.3461 0.3461 0.1651
5 Na 0.6539 0.0000 0.1651
6 Na 0.6667 0.3333 0.2132
7 Li 0.0000 0.1652 0.4104
8 Li 0.0000 0.1726 0.7818
9 Li 0.0000 0.3292 0.2842
10 Li 0.0000 0.3333 0.9207
11 Li 0.0000 0.5143 0.8450
12 Li 0.0000 0.7580 0.5673
13 Li 0.0000 0.8104 0.9195
14 Li 0.0000 0.8445 0.2784
15 Li 0.0945 0.6612 0.5490
16 Li 0.1478 0.8095 0.8373
17 Li 0.1555 0.1555 0.2784
18 Li 0.1620 0.6632 0.9256
19 Li 0.1652 0.0000 0.4104
20 Li 0.1647 0.4942 0.4131
21 Li 0.1690 0.5014 0.7827
22 Li 0.1726 0.0000 0.7818
23 Li 0.1896 0.1896 0.9195
24 Li 0.1905 0.3383 0.8373
25 Li 0.2420 0.2420 0.5673
26 Li 0.3292 0.0000 0.2842
27 Li 0.3294 0.8353 0.4131
28 Li 0.3324 0.8310 0.7827
29 Li 0.3333 0.0000 0.9207
30 Li 0.3368 0.4988 0.9256
31 Li 0.3383 0.1905 0.8373
32 Li 0.3388 0.4334 0.5490
33 Li 0.4334 0.3388 0.5490
34 Li 0.4857 0.4857 0.8450
35 Li 0.4942 0.1647 0.4131
36 Li 0.4988 0.3368 0.9256
37 Li 0.4986 0.6676 0.7827
38 Li 0.5014 0.1690 0.7827
39 Li 0.5012 0.8380 0.9256
40 Li 0.5058 0.6706 0.4131
41 Li 0.5143 0.0000 0.8450
42 Li 0.5666 0.9055 0.5490
43 Li 0.6612 0.0945 0.5490
44 Li 0.6617 0.8522 0.8373
45 Li 0.6632 0.1620 0.9256
46 Li 0.6667 0.6667 0.9207
47 Li 0.6676 0.4986 0.7827
48 Li 0.6706 0.5058 0.4131
49 Li 0.6708 0.6708 0.2842
50 Li 0.7580 0.0000 0.5673
51 Li 0.8095 0.1478 0.8373
52 Li 0.8104 0.0000 0.9195
53 Li 0.8274 0.8274 0.7818
54 Li 0.8310 0.3324 0.7827
55 Li 0.8353 0.3294 0.4131
56 Li 0.8348 0.8348 0.4104
57 Li 0.8380 0.5012 0.9256
58 Li 0.8445 0.0000 0.2784
59 Li 0.8522 0.6617 0.8373
60 Li 0.9055 0.5666 0.5490
61 Ge 0.0000 0.0000 0.3728
62 Ge 0.0000 0.4173 0.6005
63 Ge 0.0000 0.5043 0.3542
64 Ge 0.0000 0.6606 0.8097
65 Ge 0.0000 0.9123 0.6333
66 Ge 0.0842 0.2396 0.0923
67 Ge 0.0877 0.0877 0.6333
68 Ge 0.0877 0.3299 0.5989
69 Ge 0.0912 0.5035 0.1020
70 Ge 0.1521 0.8242 0.3529
71 Ge 0.1554 0.9158 0.0923
72 Ge 0.1758 0.3279 0.3529
73 Ge 0.1760 0.4197 0.0999
74 Ge 0.2396 0.0842 0.0923
75 Ge 0.2422 0.9123 0.5989
76 Ge 0.2436 0.8240 0.0999
77 Ge 0.2460 0.6658 0.5829
78 Ge 0.3279 0.1758 0.3529
79 Ge 0.3299 0.0877 0.5989
80 Ge 0.3333 0.6667 0.8446
81 Ge 0.3342 0.5802 0.5829
82 Ge 0.3394 0.3394 0.8097
83 Ge 0.4123 0.9088 0.1020
84 Ge 0.4173 0.0000 0.6005
85 Ge 0.4197 0.1760 0.0999
86 Ge 0.4198 0.7540 0.5829
87 Ge 0.4957 0.4957 0.3542
88 Ge 0.4965 0.5877 0.1020
89 Ge 0.5035 0.0912 0.1020
90 Ge 0.5043 0.0000 0.3542
91 Ge 0.5802 0.3342 0.5829
92 Ge 0.5803 0.7564 0.0999
93 Ge 0.5827 0.5827 0.6005
94 Ge 0.5877 0.4965 0.1020
95 Ge 0.6606 0.0000 0.8097
96 Ge 0.6658 0.2460 0.5829
97 Ge 0.6667 0.3333 0.8446
98 Ge 0.6701 0.7578 0.5989
99 Ge 0.6721 0.8479 0.3529
100 Ge 0.7540 0.4198 0.5829
101 Ge 0.7564 0.5803 0.0999
102 Ge 0.7578 0.6701 0.5989
103 Ge 0.7604 0.8446 0.0923
104 Ge 0.8242 0.1521 0.3529
105 Ge 0.8240 0.2436 0.0999
106 Ge 0.8446 0.7604 0.0923
107 Ge 0.8479 0.6721 0.3529
108 Ge 0.9088 0.4123 0.1020
109 Ge 0.9123 0.0000 0.6333
110 Ge 0.9123 0.2422 0.5989
111 Ge 0.9158 0.1554 0.0923

## Properties
The total energy comes out at -3.404 eV/atom. For the magnetic moment, the calculation gives 0.00 μB per formula unit.

# 11
Density functional theory data (PBE) for MnCo2Si after structural relaxation.

Unit cell a=3.9806 b=3.9806 c=3.9806 alpha=60.00 beta=60.00 gamma=60.00
Fractional positions:
1 Mn 0.0000 0.0000 0.0000
2 Co 0.2500 0.2500 0.2500
3 Co 0.7500 0.7500 0.7500
4 Si 0.5000 0.5000 0.5000

## Properties
The total energy comes out at -7.656 eV/atom.

# 12
Density functional theory data (PBE) for US2 after structural relaxation.

Unit cell a=7.2497 b=7.2497 c=3.9340 alpha=90.00 beta=90.00 gamma=120.00
Fractional positions:
1 U 0.0000 0.0000 0.0000
2 U 0.3333 0.6667 0.5000
3 U 0.6667 0.3333 0.5000
4 S 0.0000 0.2579 0.5000
5 S 0.0000 0.5919 0.0000
6 S 0.2579 0.0000 0.5000
7 S 0.4081 0.4081 0.0000
8 S 0.5919 0.0000 0.0000
9 S 0.7421 0.7421 0.5000

## Properties
The total energy comes out at -7.891 eV/atom.